Below is a geometry-optimized Er16In4Ir4O structure, with properties calculated at the PBE level.

Total magnetic moment   0.036 Bohr magnetons per cell
Theoretical density   10.6 g cm⁻³
Calculated volume   24.6 A^3/atom
Energy   -5.78 eV per atom
ΔH_f (0 K)   -834 meV/atom

Cell lengths 9.551, 9.551, 9.551 Å; angles 60.00, 60.00, 60.00 degrees
Positions (direct):
Er: 0.401 0.401 0.401
Er: 0.401 0.401 0.798
Er: 0.401 0.798 0.401
Er: 0.798 0.401 0.401
Er: 0.816 0.184 0.184
Er: 0.184 0.816 0.816
Er: 0.184 0.816 0.184
Er: 0.816 0.184 0.816
Er: 0.184 0.184 0.816
Er: 0.816 0.816 0.184
Er: 0.941 0.559 0.559
Er: 0.559 0.941 0.941
Er: 0.559 0.941 0.559
Er: 0.941 0.559 0.941
Er: 0.559 0.559 0.941
Er: 0.941 0.941 0.559
In: 0.166 0.166 0.166
In: 0.166 0.166 0.501
In: 0.166 0.501 0.166
In: 0.501 0.166 0.166
Ir: 0.609 0.609 0.609
Ir: 0.609 0.609 0.174
Ir: 0.609 0.174 0.609
Ir: 0.174 0.609 0.609
O: 0.000 0.000 0.000